Entry 1:
{"formula": "SrSmCrSnO6", "functional": "PBE with a Hubbard U", "state": "optimized geometry", "formation_enthalpy_0k_mev_per_atom": -2724, "volume_a3_per_atom": 12.79, "spacegroup": "F-43m", "lattice_angstrom": [[0.000, 3.999, 3.999], [3.999, 0.000, 3.999], [3.999, 3.999, 0.000]], "species": ["Sr", "Sm", "Cr", "Sn", "O", "O", "O", "O", "O", "O"], "fractional_positions": [[0.000, 0.000, 0.000], [0.500, 0.500, 0.500], [0.250, 0.250, 0.250], [0.750, 0.750, 0.750], [0.003, 0.003, 0.497], [0.003, 0.497, 0.003], [0.003, 0.497, 0.497], [0.497, 0.003, 0.003], [0.497, 0.003, 0.497], [0.497, 0.497, 0.003]]}

=====

Entry 2:
{"formula": "LiCr2O3", "functional": "PBE with a Hubbard U", "state": "optimized geometry", "de_polymorph_mev_per_atom": 0, "formation_enthalpy_0k_mev_per_atom": -2188, "volume_a3_per_atom": 9.85, "spacegroup": "P1", "lattice_angstrom": [[5.161, 0.000, 0.000], [-2.579, 4.579, 0.000], [-1.207, -1.572, 5.000]], "species": ["Li", "Li", "Cr", "Cr", "Cr", "Cr", "O", "O", "O", "O", "O", "O"], "fractional_positions": [[0.000, 0.000, 0.000], [0.171, 0.828, 0.484], [0.333, 0.670, 0.990], [0.501, 0.499, 0.491], [0.668, 0.329, 0.996], [0.833, 0.148, 0.494], [0.098, 0.436, 0.222], [0.271, 0.282, 0.751], [0.434, 0.070, 0.217], [0.567, 0.931, 0.780], [0.736, 0.728, 0.239], [0.899, 0.551, 0.754]]}

=====

Entry 3:
{"formula": "CaNiO3", "functional": "PBE with a Hubbard U", "state": "optimized geometry", "formation_enthalpy_0k_mev_per_atom": -1770, "volume_a3_per_atom": 10.97, "spacegroup": "Pnma", "lattice_angstrom": [[5.410, 0.000, 0.000], [0.000, 7.553, 0.000], [0.000, 0.000, 5.367]], "species": ["Ca", "Ca", "Ca", "Ca", "Ni", "Ni", "Ni", "Ni", "O", "O", "O", "O", "O", "O", "O", "O", "O", "O", "O", "O"], "fractional_positions": [[0.048, 0.250, 0.010], [0.452, 0.750, 0.510], [0.548, 0.250, 0.490], [0.952, 0.750, 0.990], [0.000, 0.000, 0.500], [0.000, 0.500, 0.500], [0.500, 0.000, 0.000], [0.500, 0.500, 0.000], [0.020, 0.750, 0.419], [0.208, 0.541, 0.795], [0.208, 0.959, 0.795], [0.292, 0.041, 0.295], [0.292, 0.459, 0.295], [0.480, 0.250, 0.919], [0.520, 0.750, 0.081], [0.708, 0.541, 0.705], [0.708, 0.959, 0.705], [0.792, 0.041, 0.205], [0.792, 0.459, 0.205], [0.980, 0.250, 0.581]]}

=====

Entry 4:
{"formula": "Li2Ti3CoO8", "functional": "PBE with a Hubbard U", "state": "optimized geometry", "piezo_max_c_m2": 0.30, "de_polymorph_mev_per_atom": 35, "formation_enthalpy_0k_mev_per_atom": -2949, "volume_a3_per_atom": 10.73, "lattice_angstrom": [[-4.353, 2.979, -2.812], [-4.594, -6.286, 6.808], [1.645, 8.144, 6.088]], "species": ["Li", "Li", "Li", "Li", "Li", "Li", "Li", "Li", "Ti", "Ti", "Ti", "Ti", "Ti", "Ti", "Ti", "Ti", "Ti", "Ti", "Ti", "Ti", "Co", "Co", "Co", "Co", "O", "O", "O", "O", "O", "O", "O", "O", "O", "O", "O", "O", "O", "O", "O", "O", "O", "O", "O", "O", "O", "O", "O", "O", "O", "O", "O", "O", "O", "O", "O", "O"], "fractional_positions": [[0.280, 0.560, 0.601], [0.530, 0.060, 0.351], [0.780, 0.560, 0.101], [0.030, 0.060, 0.851], [0.375, 0.750, 0.124], [0.625, 0.250, 0.874], [0.875, 0.750, 0.624], [0.125, 0.250, 0.374], [0.129, 0.749, 0.373], [0.379, 0.249, 0.123], [0.629, 0.749, 0.873], [0.879, 0.249, 0.623], [0.252, 0.504, 0.250], [0.502, 0.004, 0.000], [0.752, 0.504, 0.750], [0.002, 0.004, 0.500], [0.620, 0.749, 0.373], [0.870, 0.249, 0.123], [0.120, 0.749, 0.873], [0.370, 0.249, 0.623], [0.721, 0.441, 0.397], [0.971, 0.941, 0.147], [0.471, 0.941, 0.647], [0.221, 0.441, 0.897], [0.315, 0.630, 0.426], [0.565, 0.130, 0.176], [0.815, 0.630, 0.926], [0.065, 0.130, 0.676], [0.435, 0.871, 0.822], [0.685, 0.371, 0.572], [0.935, 0.871, 0.322], [0.185, 0.371, 0.072], [0.084, 0.625, 0.207], [0.334, 0.125, 0.957], [0.584, 0.626, 0.707], [0.834, 0.126, 0.457], [0.427, 0.854, 0.322], [0.677, 0.354, 0.072], [0.927, 0.854, 0.822], [0.177, 0.354, 0.572], [0.542, 0.625, 0.207], [0.792, 0.125, 0.957], [0.042, 0.625, 0.707], [0.292, 0.125, 0.457], [0.207, 0.873, 0.046], [0.457, 0.373, 0.796], [0.707, 0.873, 0.546], [0.957, 0.373, 0.296], [0.322, 0.644, 0.931], [0.572, 0.144, 0.681], [0.822, 0.644, 0.431], [0.072, 0.144, 0.181], [0.666, 0.873, 0.046], [0.916, 0.373, 0.796], [0.166, 0.873, 0.546], [0.416, 0.373, 0.296]]}

=====

Entry 5:
{"formula": "RbSmMo2O8", "functional": "PBE with a Hubbard U", "state": "optimized geometry", "formation_enthalpy_0k_mev_per_atom": -2516, "volume_a3_per_atom": 14.33, "spacegroup": "C2/c", "lattice_angstrom": [[5.455, -5.333, 0.000], [5.455, 5.333, 0.000], [-5.172, 0.000, 5.910]], "species": ["Rb", "Rb", "Sm", "Sm", "Mo", "Mo", "Mo", "Mo", "O", "O", "O", "O", "O", "O", "O", "O", "O", "O", "O", "O", "O", "O", "O", "O"], "fractional_positions": [[0.199, 0.801, 0.750], [0.801, 0.199, 0.250], [0.230, 0.770, 0.250], [0.770, 0.230, 0.750], [0.304, 0.306, 0.762], [0.306, 0.304, 0.262], [0.694, 0.696, 0.738], [0.696, 0.694, 0.238], [0.052, 0.207, 0.692], [0.072, 0.384, 0.129], [0.207, 0.052, 0.192], [0.236, 0.384, 0.563], [0.369, 0.582, 0.027], [0.384, 0.072, 0.629], [0.384, 0.236, 0.063], [0.418, 0.631, 0.473], [0.582, 0.369, 0.527], [0.616, 0.764, 0.937], [0.616, 0.928, 0.371], [0.631, 0.418, 0.973], [0.764, 0.616, 0.437], [0.793, 0.948, 0.808], [0.928, 0.616, 0.871], [0.948, 0.793, 0.308]]}

=====

Entry 6:
{"formula": "Li3CoOF3", "functional": "PBE with a Hubbard U", "state": "optimized geometry", "de_polymorph_mev_per_atom": 79, "formation_enthalpy_0k_mev_per_atom": -2558, "volume_a3_per_atom": 9.08, "spacegroup": "C2/m", "lattice_angstrom": [[4.948, -1.481, 0.000], [4.948, 1.481, 0.000], [-1.818, 0.000, 9.917]], "species": ["Li", "Li", "Li", "Li", "Li", "Li", "Co", "Co", "O", "O", "F", "F", "F", "F", "F", "F"], "fractional_positions": [[0.000, 0.000, 0.000], [0.000, 0.000, 0.500], [0.252, 0.252, 0.879], [0.498, 0.498, 0.751], [0.502, 0.502, 0.249], [0.748, 0.748, 0.121], [0.245, 0.245, 0.399], [0.755, 0.755, 0.601], [0.384, 0.384, 0.567], [0.616, 0.616, 0.433], [0.127, 0.127, 0.182], [0.130, 0.130, 0.697], [0.378, 0.378, 0.061], [0.622, 0.622, 0.939], [0.870, 0.870, 0.303], [0.873, 0.873, 0.818]]}

=====

Entry 7:
{"formula": "Sr3NbCoO7", "functional": "PBE with a Hubbard U", "state": "optimized geometry", "de_polymorph_mev_per_atom": 15, "formation_enthalpy_0k_mev_per_atom": -2821, "volume_a3_per_atom": 14.13, "spacegroup": "P1", "lattice_angstrom": [[4.001, 0.000, 0.000], [-0.002, 7.935, 0.000], [-1.980, -1.981, 10.684]], "species": ["Sr", "Sr", "Sr", "Sr", "Sr", "Sr", "Nb", "Nb", "Co", "Co", "O", "O", "O", "O", "O", "O", "O", "O", "O", "O", "O", "O", "O", "O"], "fractional_positions": [[0.000, 0.000, 0.000], [0.000, 0.485, 0.000], [0.163, 0.077, 0.324], [0.163, 0.570, 0.324], [0.369, 0.681, 0.747], [0.371, 0.177, 0.744], [0.777, 0.882, 0.557], [0.779, 0.383, 0.560], [0.575, 0.280, 0.150], [0.581, 0.780, 0.147], [0.078, 0.786, 0.174], [0.086, 0.285, 0.170], [0.281, 0.884, 0.569], [0.283, 0.386, 0.571], [0.463, 0.736, 0.972], [0.480, 0.233, 0.964], [0.586, 0.042, 0.169], [0.586, 0.528, 0.169], [0.684, 0.837, 0.378], [0.689, 0.338, 0.381], [0.782, 0.635, 0.570], [0.783, 0.135, 0.571], [0.873, 0.929, 0.756], [0.874, 0.434, 0.757]]}

=====

Entry 8:
{"formula": "Mn5CuP4O16", "functional": "PBE with a Hubbard U", "state": "optimized geometry", "formation_enthalpy_0k_mev_per_atom": -2422, "volume_a3_per_atom": 12.36, "spacegroup": "P2_1", "lattice_angstrom": [[6.172, 0.000, 0.000], [0.000, 11.740, 0.000], [-1.362, 0.000, 8.868]], "species": ["Mn", "Mn", "Mn", "Mn", "Mn", "Mn", "Mn", "Mn", "Mn", "Mn", "Cu", "Cu", "P", "P", "P", "P", "P", "P", "P", "P", "O", "O", "O", "O", "O", "O", "O", "O", "O", "O", "O", "O", "O", "O", "O", "O", "O", "O", "O", "O", "O", "O", "O", "O", "O", "O", "O", "O", "O", "O", "O", "O"], "fractional_positions": [[0.080, 0.000, 0.228], [0.087, 0.314, 0.442], [0.127, 0.624, 0.131], [0.373, 0.235, 0.871], [0.410, 0.542, 0.553], [0.590, 0.042, 0.447], [0.627, 0.735, 0.129], [0.873, 0.124, 0.869], [0.913, 0.814, 0.558], [0.920, 0.500, 0.772], [0.423, 0.878, 0.800], [0.577, 0.378, 0.200], [0.058, 0.349, 0.107], [0.142, 0.067, 0.593], [0.360, 0.788, 0.409], [0.446, 0.515, 0.892], [0.554, 0.015, 0.108], [0.640, 0.288, 0.591], [0.858, 0.567, 0.407], [0.942, 0.849, 0.893], [0.008, 0.466, 0.028], [0.073, 0.496, 0.429], [0.077, 0.255, 0.989], [0.125, 0.819, 0.795], [0.126, 0.150, 0.727], [0.149, 0.861, 0.375], [0.161, 0.136, 0.447], [0.240, 0.508, 0.771], [0.272, 0.355, 0.226], [0.336, 0.715, 0.548], [0.354, 0.994, 0.627], [0.377, 0.053, 0.201], [0.377, 0.710, 0.269], [0.421, 0.603, 0.016], [0.425, 0.359, 0.569], [0.496, 0.395, 0.967], [0.504, 0.895, 0.033], [0.575, 0.859, 0.431], [0.579, 0.103, 0.984], [0.623, 0.210, 0.731], [0.623, 0.553, 0.799], [0.646, 0.494, 0.373], [0.664, 0.215, 0.452], [0.728, 0.855, 0.774], [0.760, 0.008, 0.229], [0.839, 0.636, 0.553], [0.851, 0.361, 0.625], [0.874, 0.650, 0.273], [0.875, 0.319, 0.205], [0.923, 0.755, 0.011], [0.927, 0.996, 0.571], [0.992, 0.966, 0.972]]}

=====

Entry 9:
{"formula": "Ba2CaV2Si4O14", "functional": "PBE with a Hubbard U", "state": "optimized geometry", "de_polymorph_mev_per_atom": 0, "formation_enthalpy_0k_mev_per_atom": -3115, "volume_a3_per_atom": 14.45, "spacegroup": "P1", "lattice_angstrom": [[5.940, 0.000, 0.000], [1.574, 7.127, 0.000], [2.341, -0.499, 7.852]], "species": ["Ba", "Ba", "Ca", "V", "V", "Si", "Si", "Si", "Si", "O", "O", "O", "O", "O", "O", "O", "O", "O", "O", "O", "O", "O", "O"], "fractional_positions": [[0.000, 0.000, 0.000], [0.352, 0.510, 0.147], [0.216, 0.723, 0.604], [0.036, 0.358, 0.737], [0.290, 0.124, 0.416], [0.564, 0.216, 0.786], [0.644, 0.774, 0.760], [0.707, 0.726, 0.356], [0.758, 0.275, 0.379], [0.046, 0.186, 0.290], [0.157, 0.070, 0.643], [0.182, 0.412, 0.514], [0.277, 0.311, 0.866], [0.390, 0.714, 0.835], [0.438, 0.829, 0.342], [0.606, 0.177, 0.282], [0.614, 0.994, 0.833], [0.671, 0.245, 0.583], [0.687, 0.501, 0.351], [0.715, 0.779, 0.550], [0.721, 0.311, 0.884], [0.883, 0.656, 0.804], [0.945, 0.750, 0.217]]}

=====

Entry 10:
{"formula": "Li5Mn8B8O24", "functional": "PBE with a Hubbard U", "state": "optimized geometry", "de_polymorph_mev_per_atom": 3, "formation_enthalpy_0k_mev_per_atom": -2443, "volume_a3_per_atom": 11.13, "spacegroup": "P1", "lattice_angstrom": [[5.325, 0.000, 0.000], [-0.004, 9.107, 0.000], [-0.190, -0.062, 10.326]], "species": ["Li", "Li", "Li", "Li", "Li", "Mn", "Mn", "Mn", "Mn", "Mn", "Mn", "Mn", "Mn", "B", "B", "B", "B", "B", "B", "B", "B", "O", "O", "O", "O", "O", "O", "O", "O", "O", "O", "O", "O", "O", "O", "O", "O", "O", "O", "O", "O", "O", "O", "O", "O"], "fractional_positions": [[0.000, 0.000, 0.000], [0.028, 0.977, 0.505], [0.316, 0.004, 0.767], [0.500, 0.476, 0.489], [0.531, 0.510, 0.018], [0.017, 0.313, 0.042], [0.298, 0.677, 0.296], [0.334, 0.348, 0.788], [0.501, 0.850, 0.056], [0.511, 0.163, 0.542], [0.805, 0.804, 0.796], [0.822, 0.148, 0.292], [0.996, 0.630, 0.550], [0.323, 0.322, 0.290], [0.331, 0.685, 0.808], [0.485, 0.818, 0.554], [0.492, 0.172, 0.040], [0.827, 0.803, 0.307], [0.828, 0.156, 0.805], [0.992, 0.315, 0.548], [0.996, 0.660, 0.045], [0.093, 0.290, 0.224], [0.098, 0.690, 0.745], [0.232, 0.685, 0.104], [0.246, 0.336, 0.585], [0.340, 0.052, 0.036], [0.362, 0.948, 0.569], [0.378, 0.696, 0.489], [0.396, 0.312, 0.011], [0.401, 0.462, 0.308], [0.446, 0.821, 0.841], [0.450, 0.558, 0.835], [0.457, 0.204, 0.339], [0.583, 0.170, 0.759], [0.591, 0.793, 0.248], [0.728, 0.797, 0.606], [0.749, 0.155, 0.073], [0.828, 0.429, 0.552], [0.880, 0.787, 0.989], [0.888, 0.527, 0.039], [0.909, 0.176, 0.507], [0.941, 0.934, 0.325], [0.944, 0.672, 0.345], [0.948, 0.021, 0.807], [0.964, 0.279, 0.852]]}

=====

Entry 11:
{"formula": "Li9Mn2Co5O16", "functional": "PBE with a Hubbard U", "state": "optimized geometry", "de_polymorph_mev_per_atom": 29, "formation_enthalpy_0k_mev_per_atom": -1835, "volume_a3_per_atom": 8.87, "spacegroup": "P1", "lattice_angstrom": [[4.981, 0.000, 0.000], [0.139, 5.916, 0.000], [1.868, 0.264, 9.636]], "species": ["Li", "Li", "Li", "Li", "Li", "Li", "Li", "Li", "Li", "Mn", "Mn", "Co", "Co", "Co", "Co", "Co", "O", "O", "O", "O", "O", "O", "O", "O", "O", "O", "O", "O", "O", "O", "O", "O"], "fractional_positions": [[0.000, 0.000, 0.000], [0.001, 0.243, 0.506], [0.005, 0.497, 0.002], [0.010, 0.747, 0.509], [0.252, 0.247, 0.754], [0.494, 0.249, 0.005], [0.497, 0.487, 0.514], [0.499, 0.740, 0.004], [0.503, 0.003, 0.511], [0.253, 0.995, 0.255], [0.750, 0.999, 0.756], [0.250, 0.748, 0.758], [0.251, 0.495, 0.257], [0.745, 0.489, 0.755], [0.751, 0.742, 0.257], [0.752, 0.247, 0.256], [0.113, 0.230, 0.136], [0.113, 0.720, 0.141], [0.115, 0.979, 0.647], [0.117, 0.526, 0.655], [0.385, 0.971, 0.863], [0.388, 0.269, 0.374], [0.389, 0.515, 0.865], [0.392, 0.761, 0.374], [0.608, 0.498, 0.143], [0.614, 0.999, 0.141], [0.621, 0.747, 0.650], [0.644, 0.229, 0.636], [0.845, 0.237, 0.865], [0.891, 0.992, 0.370], [0.893, 0.762, 0.871], [0.895, 0.490, 0.371]]}

=====

Entry 12:
{"formula": "Li2CoSnO4", "functional": "PBE with a Hubbard U", "state": "optimized geometry", "de_polymorph_mev_per_atom": 0, "formation_enthalpy_0k_mev_per_atom": -1972, "volume_a3_per_atom": 10.29, "lattice_angstrom": [[-0.807, -2.371, -1.818], [-5.380, -4.066, 7.690], [-4.652, 2.294, -0.925]], "species": ["Li", "Li", "Li", "Li", "Co", "Co", "Sn", "Sn", "O", "O", "O", "O", "O", "O", "O", "O"], "fractional_positions": [[0.000, 0.500, 0.500], [0.000, 0.000, 0.000], [0.500, 0.750, 0.250], [0.500, 0.250, 0.750], [0.000, 0.750, 0.750], [0.000, 0.250, 0.250], [0.500, 0.000, 0.500], [0.500, 0.500, 0.000], [0.000, 0.618, 0.125], [0.000, 0.118, 0.625], [0.000, 0.882, 0.375], [0.000, 0.382, 0.875], [0.500, 0.875, 0.849], [0.500, 0.375, 0.349], [0.500, 0.125, 0.151], [0.500, 0.625, 0.651]]}

=====

What are the E (MP2020) values for these records? In order: -7.700, -8.197, -6.296, -8.249, -8.097, -5.499, -7.564, -8.219, -8.114, -8.110, -6.529, -6.313 eV/atom.